This record from the Materials Project describes a geometry-optimized V3CrO8 structure. The functional is PBE with a Hubbard U.

Unit cell a=5.8341 b=5.8654 c=5.9307 alpha=61.30 beta=61.72 gamma=60.76
With the nearest neighbours (Å) after each atom.
Element x y z (fractional)
V1 0.0000 0.0000 0.0000  6 O 1.91-2.02
V2 0.0005 0.4999 0.9990  6 O 1.88-1.92
V3 0.5004 0.4995 0.0001  6 O 1.95-1.99
Cr1 0.9995 0.5000 0.4997  6 O 2.02-2.04
O1 0.2010 0.2713 0.7803  2 V 1.88-2.00, 1 Cr 2.03
O2 0.2294 0.7274 0.7949  3 V 1.92-2.02
O3 0.2320 0.7425 0.2223  2 V 1.91-1.97, 1 Cr 2.02
O4 0.2386 0.2998 0.2203  2 V 1.92-1.95, 1 Cr 2.04
O5 0.7614 0.6996 0.7795  2 V 1.92-1.95, 1 Cr 2.04
O6 0.7678 0.2569 0.7778  2 V 1.91-1.97, 1 Cr 2.02
O7 0.7708 0.2721 0.2050  3 V 1.92-2.01
O8 0.7986 0.7287 0.2192  2 V 1.89-2.00, 1 Cr 2.03

Results
Energy of formation from the pure elements (eV per atom): -2.244
Space group: No. 1
DFT total energy (eV per atom): -7.569


This record from the Materials Project describes a geometry-optimized KMnH5S2O10 structure. The functional is PBE with a Hubbard U.

Unit cell a=7.1731 b=8.0584 c=8.3822 alpha=94.58 beta=107.33 gamma=77.50
With the nearest neighbours (Å) after each atom.
Element x y z (fractional)
H1 0.6412 0.7007 0.8242  1 O 0.99
H2 0.3544 0.3040 0.1787  1 O 1.00
H3 0.4631 0.8246 0.8750  1 O 0.98
H4 0.0100 0.5154 0.5117  1 O 1.09
H5 0.9631 0.3245 0.8750  1 O 0.98
H6 0.5100 0.0152 0.5117  1 O 1.09
H7 0.0352 0.6742 0.1363  1 O 0.98
H8 0.5352 0.1742 0.1363  1 O 0.98
H9 0.8544 0.8040 0.1788  1 O 1.00
H10 0.1412 0.2006 0.8243  1 O 0.99
S1 0.5293 0.1497 0.7563  4 O 1.47-1.56
S2 0.9714 0.3532 0.2493  4 O 1.48-1.51
S3 0.4715 0.8532 0.2493  4 O 1.48-1.51
S4 0.0292 0.6498 0.7563  4 O 1.47-1.56
O1 0.5867 0.1088 0.5900  1 H 1.09
O2 0.6768 0.0413 0.8897  1 S 1.48
O3 0.9130 0.3978 0.4084  1 H 1.39, 1 S 1.51
O4 0.3293 0.1146 0.7281  1 S 1.47
O5 0.0134 0.2060 0.8491  2 H 0.98-0.99
O6 0.4662 0.6695 0.2131  1 S 1.49
O7 0.0378 0.8315 0.7889  1 S 1.48
O8 0.5134 0.7060 0.8491  2 H 0.98-0.99
O9 0.4823 0.2948 0.1515  2 H 0.98-1.00
O10 0.9662 0.1695 0.2132  1 S 1.49
O11 0.6727 0.8875 0.2734  1 S 1.48
O12 0.8292 0.6147 0.7281  1 S 1.47
O13 0.0867 0.6091 0.5901  1 H 1.09
O14 0.9823 0.7947 0.1516  2 H 0.98-1.00
O15 0.5379 0.3313 0.7887  1 S 1.48
O16 0.4130 0.8976 0.4083  1 H 1.39, 1 S 1.51
O17 0.1767 0.5414 0.8897  1 S 1.48
O18 0.3276 0.9572 0.1079  1 S 1.49
O19 0.1727 0.3876 0.2734  1 S 1.48
O20 0.8275 0.4572 0.1079  1 S 1.49
K1 0.0054 0.9993 0.4970  4 O 2.75-2.83, 2 H 3.02-3.08
K2 0.5054 0.4994 0.4969  4 O 2.75-2.83, 2 H 3.02-3.08
Mn1 0.0052 0.0007 0.0056  6 O 2.17-2.23
Mn2 0.5051 0.5009 0.0052  6 O 2.17-2.23

Results
Energy of formation from the pure elements (eV per atom): -1.769
DFT total energy (eV per atom): -5.792


This record from the Materials Project describes a geometry-optimized BaFeCuF7 structure. The functional is PBE with a Hubbard U.

Unit cell a=7.4461 b=7.4461 c=5.7336 alpha=110.57 beta=110.57 gamma=86.39
With the nearest neighbours (Å) after each atom.
Element x y z (fractional)
Ba1 0.1814 0.8186 0.5000  7 F 2.69-2.93
Ba2 0.8186 0.1814 0.0000  7 F 2.69-2.93
Fe1 0.2059 0.4258 0.8607  6 F 1.90-2.03
Fe2 0.4258 0.2059 0.3607  6 F 1.90-2.03
Cu1 0.5931 0.7892 0.1276  4 F 1.89-2.06
Cu2 0.7892 0.5931 0.6276  4 F 1.89-2.06
F1 0.0699 0.4644 0.5291  1 Fe 1.93
F2 0.0915 0.1770 0.7627  1 Fe 1.90
F3 0.1770 0.0915 0.2627  1 Fe 1.90
F4 0.3253 0.6927 0.0190  1 Cu 1.97, 1 Fe 1.99
F5 0.3295 0.4224 0.2359  2 Fe 1.98-2.03
F6 0.4224 0.3295 0.7359  2 Fe 1.98-2.03
F7 0.4644 0.0699 0.0291  1 Fe 1.93
F8 0.5372 0.9904 0.4794  1 Fe 1.98, 1 Cu 2.21
F9 0.5641 0.7051 0.7520  2 Cu 1.95-2.06
F10 0.6927 0.3253 0.5190  1 Cu 1.97, 1 Fe 1.99
F11 0.7051 0.5641 0.2520  2 Cu 1.95-2.06
F12 0.8328 0.9213 0.2332  1 Cu 1.89
F13 0.9213 0.8328 0.7332  1 Cu 1.89
F14 0.9904 0.5372 0.9794  1 Fe 1.98, 1 Cu 2.21

Results
Energy of formation from the pure elements (eV per atom): -2.860
Space group: No. 9
DFT total energy (eV per atom): -5.100


This record from the Materials Project describes a geometry-optimized Li2CrP2O7 structure. The functional is PBE with a Hubbard U.

Unit cell a=8.1820 b=8.1820 c=8.9429 alpha=113.86 beta=113.86 gamma=35.89
With the nearest neighbours (Å) after each atom.
Element x y z (fractional)
Li1 0.0464 0.3337 0.0522  4 O 1.93-2.00
Li2 0.3337 0.0464 0.5522  4 O 1.93-2.00
Li3 0.6663 0.9536 0.4478  4 O 1.93-2.00
Li4 0.9536 0.6663 0.9478  4 O 1.93-2.00
Cr1 0.0000 0.0000 0.0000  4 O 2.03-2.04
Cr2 0.0000 0.0000 0.5000  4 O 2.03-2.04
P1 0.2617 0.5323 0.6844  4 O 1.51-1.65
P2 0.4677 0.7383 0.8156  4 O 1.51-1.65
P3 0.5323 0.2617 0.1844  4 O 1.51-1.65
P4 0.7383 0.4677 0.3156  4 O 1.51-1.65
O1 0.0530 0.7432 0.5597  1 P 1.54
O2 0.1252 0.6623 0.8372  1 P 1.54
O3 0.2460 0.3989 0.1105  1 P 1.51
O4 0.2568 0.9470 0.9403  1 P 1.54
O5 0.3377 0.8748 0.6628  1 P 1.54
O6 0.3989 0.2460 0.6105  1 P 1.51
O7 0.4817 0.5183 0.2500  2 P 1.65
O8 0.5183 0.4817 0.7500  2 P 1.65
O9 0.6011 0.7540 0.3895  1 P 1.51
O10 0.6623 0.1252 0.3372  1 P 1.54
O11 0.7432 0.0530 0.0597  1 P 1.54
O12 0.7540 0.6011 0.8895  1 P 1.51
O13 0.8748 0.3377 0.1628  1 P 1.54
O14 0.9470 0.2568 0.4403  1 P 1.54

Results
Energy of formation from the pure elements (eV per atom): -2.660
Space group: No. 15
DFT total energy (eV per atom): -7.004


This record from the Materials Project describes a geometry-optimized MgFe6O6F6 structure. The functional is PBE with a Hubbard U.

Unit cell a=3.0842 b=7.0323 c=11.0853 alpha=73.10 beta=89.90 gamma=89.88
With the nearest neighbours (Å) after each atom.
Element x y z (fractional)
Mg1 0.0000 0.0000 0.0000  3 F 1.95-2.09, 3 O 1.99-2.13
Fe1 0.4861 0.0069 0.5037  3 O 1.92-1.97, 2 F 2.14
Fe2 0.4927 0.3917 0.8456  3 O 1.83-1.98
Fe3 0.4939 0.6879 0.2051  3 O 1.92-2.00, 1 F 2.13
Fe4 0.9803 0.8321 0.7810  3 O 1.94-1.96
Fe5 0.9890 0.2031 0.1639  3 F 2.11-2.13, 3 O 2.19-2.28
Fe6 0.9888 0.5569 0.4990  3 O 1.96-1.97, 2 F 2.09
O1 0.4803 0.6581 0.8301  3 Fe 1.83-1.95
O2 0.4879 0.7232 0.5136  3 Fe 1.97
O3 0.4961 0.9844 0.1340  1 Fe 2.00, 2 Mg 2.11-2.13
O4 0.9857 0.0065 0.6068  3 Fe 1.92-1.96
O5 0.9933 0.2948 0.9579  3 Fe 1.97-2.19, 1 Mg 1.99
O6 0.9927 0.6350 0.3139  3 Fe 1.92-1.96
F1 0.4873 0.3970 0.1837  3 Fe 2.11-2.13
F2 0.4890 0.3564 0.4988  2 Fe 2.09
F3 0.5012 0.0268 0.8695  2 Mg 2.08-2.09
F4 0.9850 0.0858 0.3641  3 Fe 2.13-2.14
F5 0.9882 0.4078 0.7066  3 Fe 2.15-2.23
F6 0.9941 0.7114 0.0645  1 Mg 1.95, 2 Fe 2.16-2.17

Results
Energy of formation from the pure elements (eV per atom): -2.111
Space group: No. 1
DFT total energy (eV per atom): -5.961


- The highest DFT total energy belongs to which entry?
  BaFeCuF7